This record from the Materials Project database describes an optimized crystal structure of SmRe3. The functional is PBE.

Results
The value obtained for the formation energy is 0.46 eV per atom.

Cell: 4.620 4.620 4.620 Å, 60.00 60.00 60.00°
Fractional positions:
Sm  0.000  0.000  0.000
Re  0.250  0.250  0.250
Re  0.750  0.750  0.750
Re  0.500  0.500  0.500